Entry 1:
# PBE-GGA Li2Cu4S3, relaxed
# Formation energy from the elements = -0.631 eV/atom
# Relative energy among the computed polymorphs = 41 meV/atom
data_Li2Cu4S3
_cell_length_a 11.260
_cell_length_b 9.289
_cell_length_c 6.041
_cell_angle_alpha 90.00
_cell_angle_beta 118.19
_cell_angle_gamma 90.00
_space_group_name_H-M_alt 'C 1 2/c 1'
_space_group_IT_number 15
loop_
_space_group_symop_operation_xyz
'x,y,z'
'-x,-y,-z'
'-x,y,-z+1/2'
'x,-y,z+1/2'
'x+1/2,y+1/2,z'
'-x+1/2,-y+1/2,-z'
'-x+1/2,y+1/2,-z+1/2'
'x+1/2,-y+1/2,z+1/2'
loop_
_atom_site_label
_atom_site_type_symbol
_atom_site_fract_x
_atom_site_fract_y
_atom_site_fract_z
Li1 Li 0.160 0.063 0.167
Cu1 Cu 0.119 0.367 0.966
Cu2 Cu 0.146 0.234 0.615
S1 S 0.000 0.160 0.750
S2 S 0.179 0.409 0.383


Entry 2:
# PBE-GGA ReO2, relaxed
# Formation energy from the elements = -1.896 eV/atom
data_ReO2
_cell_length_a 4.886
_cell_length_b 5.700
_cell_length_c 4.630
_cell_angle_alpha 90.00
_cell_angle_beta 90.00
_cell_angle_gamma 90.00
_space_group_name_H-M_alt 'P b c n'
_space_group_IT_number 60
loop_
_space_group_symop_operation_xyz
'x,y,z'
'-x,-y,-z'
'-x+1/2,-y+1/2,z+1/2'
'x+1/2,y+1/2,-z+1/2'
'x+1/2,-y+1/2,-z'
'-x+1/2,y+1/2,z'
'-x,y,-z+1/2'
'x,-y,z+1/2'
loop_
_atom_site_label
_atom_site_type_symbol
_atom_site_fract_x
_atom_site_fract_y
_atom_site_fract_z
Re1 Re 0.000 0.108 0.250
O1 O 0.243 0.360 0.091


| no. | electronic total energy (eV/cell) |
| --- | --- |
| 1 | -147.2 |
| 2 | -106.6 |